Entry 1:
VASP calculation (PBE) on crystalline TiO2 at its relaxed geometry.

Crystal system ... orthorhombic
Spin magnetization ... 0.00 μB/f.u.
Space group ... No. 35
Energy of formation ... -3.196 eV per atom
E (MP2020) ... -9.127 eV per atom

abc: 6.567 6.567 10.464
angles: 90.00 90.00 122.95
Positions (direct):
1 Ti 0.754 0.246 0.000
2 Ti 0.746 0.746 0.057
3 Ti 0.246 0.754 0.000
4 Ti 0.254 0.254 0.057
5 O 0.119 0.391 0.962
6 O 0.000 0.000 0.139
7 O 0.756 0.244 0.156
8 O 0.881 0.609 0.962
9 O 0.244 0.756 0.156
10 O 0.391 0.119 0.962
11 O 0.609 0.881 0.962
12 O 0.500 0.500 0.147

Entry 2:
VASP calculation (PBE) on crystalline TiO2 at its relaxed geometry.

Crystal system ... orthorhombic
Spin magnetization ... 0.00 μB/f.u.
Space group ... No. 59
Energy of formation ... -3.351 eV per atom
E (MP2020) ... -9.281 eV per atom

abc: 5.185 5.988 10.676
angles: 90.00 90.00 90.00
Positions (direct):
1 Ti 0.493 0.500 0.237
2 Ti 0.493 0.500 0.763
3 Ti 0.507 0.000 0.263
4 Ti 0.507 0.000 0.737
5 Ti 0.000 0.250 0.250
6 Ti 0.000 0.750 0.750
7 Ti 0.000 0.750 0.250
8 Ti 0.000 0.250 0.750
9 O 0.833 0.500 0.158
10 O 0.833 0.500 0.842
11 O 0.167 0.000 0.342
12 O 0.167 0.000 0.658
13 O 0.166 0.500 0.339
14 O 0.166 0.500 0.661
15 O 0.834 0.000 0.161
16 O 0.834 0.000 0.839
17 O 0.667 0.250 0.341
18 O 0.667 0.750 0.659
19 O 0.333 0.750 0.159
20 O 0.333 0.250 0.841
21 O 0.333 0.250 0.159
22 O 0.333 0.750 0.841
23 O 0.667 0.750 0.341
24 O 0.667 0.250 0.659

Please write out number 2 again, unchanged.
VASP calculation (PBE) on crystalline TiO2 at its relaxed geometry.

Crystal system ... orthorhombic
Spin magnetization ... 0.00 μB/f.u.
Space group ... No. 59
Energy of formation ... -3.351 eV per atom
E (MP2020) ... -9.281 eV per atom

abc: 5.185 5.988 10.676
angles: 90.00 90.00 90.00
Positions (direct):
1 Ti 0.493 0.500 0.237
2 Ti 0.493 0.500 0.763
3 Ti 0.507 0.000 0.263
4 Ti 0.507 0.000 0.737
5 Ti 0.000 0.250 0.250
6 Ti 0.000 0.750 0.750
7 Ti 0.000 0.750 0.250
8 Ti 0.000 0.250 0.750
9 O 0.833 0.500 0.158
10 O 0.833 0.500 0.842
11 O 0.167 0.000 0.342
12 O 0.167 0.000 0.658
13 O 0.166 0.500 0.339
14 O 0.166 0.500 0.661
15 O 0.834 0.000 0.161
16 O 0.834 0.000 0.839
17 O 0.667 0.250 0.341
18 O 0.667 0.750 0.659
19 O 0.333 0.750 0.159
20 O 0.333 0.250 0.841
21 O 0.333 0.250 0.159
22 O 0.333 0.750 0.841
23 O 0.667 0.750 0.341
24 O 0.667 0.250 0.659

Question: E (MP2020) of number 2 (TiO2)?
Answer: -9.281 eV per atom

Question: Which of these has the highest energy of formation?
Answer: number 1

Question: Which of these has the highest energy of formation?
Answer: number 1